The following is a PBE calculation of a relaxed structure of NaMg14Ti, from the Materials Project database.

Cell: 6.411 6.484 10.249 Å, 90.00 90.00 120.38°
Sites, in units of the cell vectors:
Mg (0.841, 0.170, 0.880)
Mg (0.168, 0.834, 0.625)
Mg (0.829, 0.665, 0.873)
Mg (0.331, 0.658, 0.876)
Mg (0.331, 0.173, 0.374)
Mg (0.331, 0.658, 0.374)
Mg (0.664, 0.329, 0.125)
Mg (0.667, 0.834, 0.625)
Mg (0.829, 0.665, 0.377)
Mg (0.664, 0.834, 0.125)
Mg (0.841, 0.170, 0.370)
Mg (0.331, 0.173, 0.876)
Mg (0.667, 0.333, 0.625)
Mg (0.167, 0.333, 0.625)
Na (0.168, 0.834, 0.125)
Ti (0.172, 0.336, 0.125)

Calculated values
E above lowest polymorph = 0.014 eV per atom
calculated volume = 22.97 A^3/atom
ΔH_f (0 K) = 144 kJ/mol of formula units
final energy = -30.13 eV/cell